[1]
A plane-wave DFT calculation with PBE was carried out for an optimized crystal structure of MgH12C3SO7.

Geometry as extended XYZ:
```
96
Lattice="8.136 0.000 0.000 0.000 9.585 0.000 -3.441 0.000 12.004" Properties=species:S:1:pos:R:3 pbc="T T T"
Mg -0.396 1.951 1.678
Mg -2.116 2.842 7.680
Mg 6.812 6.743 4.324
Mg 5.091 7.634 10.326
H -1.914 0.338 8.402
H -0.194 4.454 2.400
H -0.143 0.641 6.161
H 1.578 4.151 0.159
H 1.422 5.567 1.230
H -0.299 8.810 7.232
H 0.415 6.530 6.216
H 2.135 7.847 0.214
H 1.680 0.538 2.264
H -0.040 4.255 8.266
H 1.215 1.128 4.545
H -0.506 3.664 10.547
H 0.501 0.728 7.829
H 2.221 4.064 1.827
H -0.002 2.014 10.093
H 1.718 2.778 4.091
H 1.981 7.008 3.835
H 0.261 7.369 9.837
H 1.794 5.381 4.560
H 0.074 8.996 10.562
H 3.774 1.889 0.543
H 2.054 2.904 6.545
H 3.497 6.253 1.916
H 1.777 8.124 7.918
H 2.919 1.461 4.086
H 1.199 3.331 10.088
H 2.642 6.681 5.459
H 0.922 7.696 11.461
H 4.622 0.589 1.442
H 2.901 4.204 7.444
H 4.435 2.215 2.167
H 2.715 2.577 8.169
H 2.977 6.807 7.913
H 4.698 7.571 1.911
H 2.474 5.520 10.178
H 4.195 8.857 4.176
H 5.201 5.921 1.457
H 3.481 8.456 7.459
H 4.736 5.330 3.738
H 3.016 9.047 9.740
H 2.560 1.738 11.791
H 4.281 3.055 5.788
H 4.994 0.774 4.772
H 3.274 4.018 10.774
H 3.118 5.434 11.845
H 4.838 8.943 5.843
H 4.889 5.130 9.604
H 6.610 9.247 3.602
C -0.303 0.321 7.196
C 1.417 4.472 1.193
C 1.870 1.713 3.882
C 0.149 3.079 9.884
C 1.815 6.463 4.769
C 0.094 7.915 10.771
C 4.601 1.670 1.233
C 2.881 3.122 7.235
C 4.546 6.505 2.121
C 2.826 7.872 8.123
C 3.278 5.113 10.811
C 4.999 9.264 4.809
S -1.770 6.142 7.594
S -0.050 8.235 1.592
S 4.746 1.350 10.412
S 6.466 3.442 4.410
O -2.662 0.104 9.991
O -0.942 4.689 3.989
O -0.452 7.127 2.494
O -2.172 7.250 8.496
O -3.028 1.696 11.803
O -1.308 3.096 5.801
O -1.587 0.824 7.603
O 0.133 3.968 1.601
O -0.293 5.905 7.695
O 1.428 8.472 1.693
O 0.556 6.913 5.308
O -1.164 7.464 11.310
O 1.549 1.496 2.496
O -0.172 3.296 8.498
O 4.868 6.289 3.506
O 3.147 8.089 9.508
O 5.860 2.121 0.694
O 4.139 2.672 6.696
O 3.268 1.113 10.311
O 4.988 3.680 4.309
O 4.563 5.617 10.403
O 6.283 8.760 4.401
O 6.003 6.488 6.203
O 7.724 7.889 0.201
O 6.868 2.334 3.508
O 5.147 2.458 9.510
O 5.637 4.896 8.015
O 7.358 9.481 2.013
```

Properties
- Electronic total energy: -5.3883 eV/atom
- Size of the total moment: 0.000 μB per formula unit

[2]
A plane-wave DFT calculation with PBE was carried out for an optimized crystal structure of Li3Y3Te2O12.

Geometry as extended XYZ:
```
80
Lattice="-6.216 6.216 6.216 6.216 -6.216 6.216 6.216 6.216 -6.216" Properties=species:S:1:pos:R:3 pbc="T T T"
Li 9.323 1.554 0.000
Li 6.216 -3.108 4.662
Li 4.662 6.216 -3.108
Li 4.662 0.000 3.108
Li 3.108 4.662 0.000
Li 6.216 3.108 1.554
Li 0.000 3.108 4.662
Li 3.108 1.554 6.216
Li 1.554 6.216 3.108
Li 1.554 0.000 9.323
Li 0.000 9.323 1.554
Li -3.108 4.662 6.216
Y 3.108 1.554 0.000
Y 6.216 3.108 -1.554
Y 1.554 0.000 3.108
Y 7.770 0.000 3.108
Y 0.000 3.108 1.554
Y 3.108 -1.554 6.216
Y 3.108 7.770 0.000
Y 6.216 3.108 4.662
Y -1.554 6.216 3.108
Y 4.662 6.216 3.108
Y 0.000 3.108 7.770
Y 3.108 4.662 6.216
Te 0.000 0.000 0.000
Te 3.108 3.108 -3.108
Te 3.108 -3.108 3.108
Te 6.216 0.000 0.000
Te -3.108 3.108 3.108
Te 0.000 6.216 0.000
Te 0.000 0.000 6.216
Te 3.108 3.108 3.108
O 1.813 -0.321 0.660
O 7.510 3.767 -3.429
O 8.029 0.321 0.660
O 7.510 -2.448 3.429
O 5.895 -0.660 1.813
O 9.644 -1.294 2.448
O 0.660 1.813 -0.321
O 8.664 2.787 -1.294
O 3.767 3.429 -1.294
O 5.556 1.813 0.321
O -0.321 0.660 1.813
O 3.429 -1.294 3.767
O 5.895 5.556 -1.813
O 3.429 1.294 2.448
O 3.767 -3.429 7.510
O 5.556 -1.813 5.895
O 2.448 3.429 1.294
O 6.875 4.402 0.321
O 3.429 7.510 -2.448
O 5.895 0.660 4.402
O 1.813 5.895 -0.660
O 7.510 2.448 2.787
O 1.294 2.448 3.429
O 1.813 0.321 5.556
O 4.402 5.895 0.660
O 4.921 3.767 2.787
O -1.294 3.767 3.429
O 4.402 0.321 6.875
O 0.321 5.556 1.813
O 2.787 -1.294 8.664
O -0.660 1.813 5.895
O 3.767 2.787 4.921
O 0.660 8.029 0.321
O 2.448 9.644 -1.294
O 2.787 4.921 3.767
O 0.321 0.660 8.029
O 2.787 7.510 2.448
O 6.537 5.556 4.402
O 0.660 4.402 5.895
O 2.448 2.787 7.510
O -2.448 3.429 7.510
O 5.556 4.402 6.537
O -3.429 7.510 3.767
O 0.321 6.875 4.402
O -1.294 8.664 2.787
O -1.813 5.895 5.556
O -1.294 2.448 9.644
O 4.402 6.537 5.556
```

Properties
- Electronic total energy: -6.8847 eV/atom
- Size of the total moment: 0.000 μB per formula unit

[3]
A plane-wave DFT calculation with PBE was carried out for an optimized crystal structure of Ca6MnN5.

Geometry as extended XYZ:
```
24
Lattice="6.233 0.000 0.000 -3.117 5.398 0.000 0.000 0.000 12.352" Properties=species:S:1:pos:R:3 pbc="T T T"
Ca -1.229 2.129 1.461
Ca -1.229 2.129 4.715
Ca -1.887 3.269 7.637
Ca -1.887 3.269 10.891
Ca 2.459 0.000 1.461
Ca 2.459 0.000 4.715
Ca 1.229 2.129 7.637
Ca 1.229 2.129 10.891
Ca 3.774 0.000 7.637
Ca 3.774 0.000 10.891
Ca 1.887 3.269 1.461
Ca 1.887 3.269 4.715
Mn 0.000 0.000 3.088
Mn 0.000 0.000 9.264
N -0.892 1.545 9.264
N -2.225 3.853 3.088
N 1.784 0.000 9.264
N 0.892 1.545 3.088
N 0.000 3.599 0.000
N 0.000 3.599 6.176
N 3.117 1.799 0.000
N 3.117 1.799 6.176
N 4.449 0.000 3.088
N 2.225 3.853 9.264
```

Properties
- Electronic total energy: -6.0910 eV/atom

[4]
A plane-wave DFT calculation with PBE was carried out for an optimized crystal structure of Al4Bi2O9.

Geometry as extended XYZ:
```
30
Lattice="7.782 0.000 0.000 0.000 8.248 0.000 0.000 0.000 5.768" Properties=species:S:1:pos:R:3 pbc="T T T"
Al 0.000 0.000 1.378
Al 0.000 0.000 4.390
Al 1.149 2.800 0.000
Al 2.742 6.924 0.000
Al 3.891 4.124 1.378
Al 3.891 4.124 4.390
Al 5.041 1.324 0.000
Al 6.633 5.448 0.000
Bi 1.327 5.523 2.884
Bi 2.564 1.399 2.884
Bi 5.218 6.849 2.884
Bi 6.455 2.725 2.884
O 0.000 4.124 0.000
O 0.958 1.718 1.432
O 0.958 1.718 4.335
O 1.081 7.551 0.000
O 1.123 7.716 2.884
O 2.768 3.592 2.884
O 2.810 3.427 0.000
O 2.933 5.842 1.432
O 2.933 5.842 4.335
O 3.891 0.000 0.000
O 4.849 2.406 1.432
O 4.849 2.406 4.335
O 4.972 4.821 0.000
O 5.014 4.656 2.884
O 6.659 0.532 2.884
O 6.702 0.697 0.000
O 6.824 6.530 1.432
O 6.824 6.530 4.335
```

Properties
- Electronic total energy: -6.9320 eV/atom